Computed, not measured: crystalline MnInO3 at its relaxed geometry at the r2SCAN level of DFT.

Lattice parameters (Å, degrees): 10.413 5.803 11.569 90.00 90.01 90.00
Space group C2/c (No. 15)
Symmetry-distinct sites (fractional):
Mn: 0.000 0.163 0.250
Mn: 0.166 0.339 0.751
In: 0.000 0.500 0.000
In: 0.167 0.001 0.017
O: 0.000 0.481 0.750
O: 0.012 0.165 0.415
O: 0.160 0.319 0.916
O: 0.167 0.019 0.231
O: 0.172 0.351 0.586

Summary:
**Crystal system**: monoclinic
**Total DFT energy (no corrections)**: -781.75 eV/cell
**Calculated volume**: 699.1 Å³ per cell
**ΔH_f (0 K)**: -1.993 eV per atom
**Magnetization**: 4.0 μB/f.u.